1.
# Co2P2O7

Crystalline Co2P2O7 at its relaxed geometry (PBE with a Hubbard U, the Materials Project database).

Structure (POSCAR):
```
Co2P2O7
1.0
8.4424 0.0000 0.0000
0.0000 7.0780 0.0000
0.0000 3.5887 8.3782
Co P O
8 8 28
direct
0.9373 0.3034 0.3170
0.4373 0.6966 0.1830
0.0627 0.6966 0.6830
0.5627 0.3034 0.8170
0.4262 0.7685 0.6087
0.9262 0.2315 0.8913
0.5738 0.2315 0.3913
0.0738 0.7685 0.1087
0.2755 0.4670 0.9674
0.7755 0.5330 0.5326
0.7245 0.5330 0.0326
0.2245 0.4670 0.4674
0.2679 0.0640 0.2577
0.7679 0.9360 0.2423
0.7321 0.9360 0.7423
0.2321 0.0640 0.7577
0.1127 0.4444 0.8989
0.6127 0.5556 0.6011
0.8873 0.5556 0.1011
0.3873 0.4444 0.3989
0.4094 0.5173 0.8435
0.9094 0.4827 0.6565
0.5906 0.4827 0.1565
0.0906 0.5173 0.3435
0.1110 0.1192 0.3092
0.6110 0.8808 0.1908
0.8890 0.8808 0.6908
0.3890 0.1192 0.8092
0.4021 0.0263 0.3806
0.9021 0.9737 0.1194
0.5979 0.9737 0.6194
0.0979 0.0263 0.8806
0.1696 0.2514 0.5995
0.6696 0.7486 0.9005
0.8304 0.7486 0.4005
0.3304 0.2514 0.0995
0.2334 0.6225 0.5476
0.7334 0.3775 0.9524
0.7666 0.3775 0.4524
0.2666 0.6225 0.0476
0.2422 0.8834 0.7034
0.7422 0.1166 0.7966
0.7578 0.1166 0.2966
0.2578 0.8834 0.2034
```

Calculated formation energy (meV/atom): -2253
DFT total energy (eV per atom): -6.94
Offset from the most stable computed form (eV/atom): 0.000

=====

2.
# CoP3O9

Crystalline CoP3O9 at its relaxed geometry (PBE with a Hubbard U, the Materials Project database).

Structure (POSCAR):
```
CoP3O9
1.0
6.3520 0.0000 0.0000
0.0000 9.9580 0.0000
0.0000 0.0000 10.8058
Co P O
4 12 36
direct
0.0000 0.0000 0.0000
0.5000 0.0000 0.5000
0.0000 0.5000 0.5000
0.5000 0.5000 0.0000
0.7500 0.9181 0.7500
0.3613 0.7892 0.8680
0.1387 0.7892 0.6320
0.8613 0.7108 0.1320
0.6387 0.7108 0.3680
0.2500 0.5819 0.2500
0.7500 0.4181 0.7500
0.3613 0.2892 0.6320
0.1387 0.2892 0.8680
0.6387 0.2108 0.1320
0.8613 0.2108 0.3680
0.2500 0.0819 0.2500
0.1496 0.9955 0.1519
0.3504 0.9955 0.3481
0.2421 0.9195 0.5969
0.2579 0.9195 0.9031
0.6128 0.8149 0.4668
0.8872 0.8149 0.0332
0.5915 0.8152 0.8099
0.9085 0.8152 0.6901
0.7500 0.7803 0.2500
0.2500 0.7197 0.7500
0.0915 0.6848 0.1901
0.4085 0.6848 0.3099
0.1128 0.6851 0.5332
0.3872 0.6851 0.9668
0.7579 0.5805 0.0969
0.7421 0.5805 0.4031
0.8504 0.5045 0.6519
0.6496 0.5045 0.8481
0.3504 0.4955 0.1519
0.1496 0.4955 0.3481
0.2579 0.4195 0.5969
0.2421 0.4195 0.9031
0.6128 0.3149 0.0332
0.8872 0.3149 0.4668
0.5915 0.3152 0.6901
0.9085 0.3152 0.8099
0.7500 0.2803 0.2500
0.2500 0.2197 0.7500
0.4085 0.1848 0.1901
0.0915 0.1848 0.3099
0.3872 0.1851 0.5332
0.1128 0.1851 0.9668
0.7421 0.0805 0.0969
0.7579 0.0805 0.4031
0.6496 0.0045 0.6519
0.8504 0.0045 0.8481
```

Calculated formation energy (meV/atom): -2285
DFT total energy (eV per atom): -6.90
Offset from the most stable computed form (eV/atom): 0.035

=====

3.
# Co3P2O9

Crystalline Co3P2O9 at its relaxed geometry (PBE with a Hubbard U, the Materials Project database).

Structure (POSCAR):
```
Co3P2O9
1.0
-1.9460 5.4078 5.6279
-9.0563 -0.9101 -2.2568
-5.1861 -8.4147 6.2923
Co P O
12 8 36
direct
0.7086 0.8542 0.3296
0.2086 0.6458 0.6704
0.2914 0.1458 0.6704
0.7914 0.3542 0.3296
0.2443 0.1901 0.0842
0.7443 0.3099 0.9158
0.7557 0.8099 0.9158
0.2557 0.6901 0.0842
0.3195 0.0379 0.4266
0.8195 0.4621 0.5734
0.6805 0.9621 0.5734
0.1805 0.5379 0.4266
0.0106 0.3737 0.8490
0.5106 0.1263 0.1510
0.9894 0.6263 0.1510
0.4894 0.8737 0.8490
0.4906 0.6972 0.4950
0.9906 0.8028 0.5050
0.5094 0.3028 0.5050
0.0094 0.1972 0.4950
0.0925 0.5305 0.8196
0.5925 0.9695 0.1804
0.9075 0.4695 0.1804
0.4075 0.0305 0.8196
0.4183 0.1489 0.2584
0.9183 0.3511 0.7416
0.5817 0.8511 0.7416
0.0817 0.6489 0.2584
0.6169 0.2615 0.0720
0.1169 0.2385 0.9280
0.3831 0.7385 0.9280
0.8831 0.7615 0.0720
0.2660 0.4101 0.0491
0.7660 0.0899 0.9509
0.7340 0.5899 0.9509
0.2340 0.9101 0.0491
0.1702 0.8542 0.5298
0.6702 0.6458 0.4702
0.8298 0.1458 0.4702
0.3298 0.3542 0.5298
0.4342 0.6179 0.6290
0.9342 0.8821 0.3710
0.5658 0.3821 0.3710
0.0658 0.1179 0.6290
0.5233 0.8770 0.4625
0.0233 0.6230 0.5375
0.4767 0.1230 0.5375
0.9767 0.3770 0.4625
0.3699 0.6801 0.4001
0.8699 0.8199 0.5999
0.6301 0.3199 0.5999
0.1301 0.1801 0.4001
0.2303 0.9716 0.1357
0.7303 0.5284 0.8643
0.7697 0.0284 0.8643
0.2697 0.4716 0.1357
```

Calculated formation energy (meV/atom): -1330
DFT total energy (eV per atom): -6.35
Offset from the most stable computed form (eV/atom): 0.594

=====

4.
# Co2P3O10

Crystalline Co2P3O10 at its relaxed geometry (PBE with a Hubbard U, the Materials Project database).

Structure (POSCAR):
```
Co2P3O10
1.0
7.3553 -0.0388 3.0725
-3.8656 6.8560 1.0985
-0.1111 -0.0899 9.4868
Co P O
4 6 20
direct
0.3268 0.7364 0.9636
0.2002 0.2878 0.5396
0.6732 0.2636 0.0364
0.7998 0.7122 0.4604
0.3646 0.4504 0.7711
0.6741 0.9250 0.2482
0.7215 0.1354 0.7293
0.3259 0.0750 0.7518
0.6354 0.5496 0.2289
0.2785 0.8646 0.2707
0.6178 0.9244 0.8382
0.7854 0.1235 0.1215
0.7482 0.2821 0.8200
0.2734 0.5013 0.9210
0.2529 0.0892 0.6270
0.2518 0.7180 0.1800
0.6933 0.7750 0.1537
0.9238 0.1954 0.5796
0.2619 0.4540 0.6638
0.7471 0.9108 0.3730
0.7266 0.4987 0.0790
0.4290 0.8496 0.3450
0.3067 0.2250 0.8463
0.0762 0.8046 0.4204
0.3977 0.4287 0.3216
0.2146 0.8765 0.8785
0.6023 0.5713 0.6784
0.7381 0.5460 0.3362
0.3822 0.0756 0.1618
0.5710 0.1504 0.6550
```

Calculated formation energy (meV/atom): -2249
DFT total energy (eV per atom): -6.90
Offset from the most stable computed form (eV/atom): 0.007

=====

5.
# Co2P3O10

Crystalline Co2P3O10 at its relaxed geometry (PBE with a Hubbard U, the Materials Project database).

Structure (POSCAR):
```
Co2P3O10
1.0
-1.0842 -2.5781 7.3414
-2.4348 -5.2750 -5.6116
9.2335 0.1111 -2.2786
Co P O
4 6 20
direct
0.1728 0.2563 0.4573
0.2983 0.7074 0.0325
0.7017 0.2926 0.9675
0.8272 0.7437 0.5427
0.8611 0.4497 0.7312
0.8304 0.0826 0.7552
0.2238 0.1365 0.7673
0.7762 0.8635 0.2327
0.1696 0.9174 0.2448
0.1389 0.5503 0.2688
0.7731 0.5040 0.5875
0.1018 0.5699 0.8259
0.8119 0.2324 0.6620
0.2394 0.8966 0.1163
0.2559 0.2831 0.6819
0.8742 0.0691 0.3326
0.7619 0.4529 0.8441
0.0750 0.1536 0.8476
0.5722 0.8059 0.0811
0.2842 0.1104 0.3668
0.7158 0.8896 0.6332
0.4278 0.1941 0.9189
0.9250 0.8464 0.1524
0.2381 0.5471 0.1559
0.1258 0.9309 0.6674
0.7441 0.7169 0.3181
0.7606 0.1034 0.8837
0.1881 0.7676 0.3380
0.8982 0.4301 0.1741
0.2269 0.4960 0.4125
```

Calculated formation energy (meV/atom): -2256
DFT total energy (eV per atom): -6.91
Offset from the most stable computed form (eV/atom): 0.000

=====

6.
# Co2PO5

Crystalline Co2PO5 at its relaxed geometry (PBE with a Hubbard U, the Materials Project database).

Structure (POSCAR):
```
Co2PO5
1.0
-1.5531 -4.6265 -2.2655
4.1926 0.2186 -3.3640
2.2979 -0.7288 6.8154
Co P O
4 2 10
direct
0.0000 0.0000 0.5000
0.5000 0.0000 0.5000
0.0000 0.0000 0.0000
0.0000 0.5000 0.0000
0.6313 0.3788 0.2498
0.3687 0.6212 0.7502
0.1554 0.9032 0.2493
0.8446 0.0968 0.7507
0.8246 0.3159 0.1337
0.3013 0.7833 0.6004
0.3154 0.3132 0.6272
0.3211 0.2956 0.0936
0.1754 0.6841 0.8663
0.6987 0.2167 0.3996
0.6846 0.6868 0.3728
0.6789 0.7044 0.9064
```

Calculated formation energy (meV/atom): -1951
DFT total energy (eV per atom): -6.66
Offset from the most stable computed form (eV/atom): 0.000

=====

- Which formula does entry 2 have?
  CoP3O9